TeMoWSe2S | the Materials Project database | PBE | optimized geometry; energy = -41.21 eV/f.u.
1.0
3.343 0.000 0.000
-1.671 2.895 0.000
0.000 0.000 38.096
Te Mo W Se S
2 2 2 4 2
direct
0.000 0.000 0.000
0.000 0.000 0.100
0.667 0.333 0.050
0.667 0.333 0.674
0.000 0.000 0.238
0.000 0.000 0.862
0.667 0.333 0.194
0.667 0.333 0.282
0.667 0.333 0.818
0.667 0.333 0.906
0.000 0.000 0.634
0.000 0.000 0.714


TeMoWSe2S | the Materials Project database | PBE | optimized geometry; energy = -41.31 eV/f.u.
1.0
3.341 0.000 0.000
-1.670 2.893 0.000
0.000 0.000 38.074
Te Mo W Se S
2 2 2 4 2
direct
0.000 0.000 0.000
0.000 0.000 0.100
0.000 0.000 0.238
0.333 0.667 0.050
0.000 0.000 0.862
0.333 0.667 0.426
0.000 0.000 0.382
0.000 0.000 0.470
0.333 0.667 0.194
0.333 0.667 0.281
0.333 0.667 0.822
0.333 0.667 0.902


Calculated energy of formation from the pure elements in order - -0.607 -0.623 eV per atom